1.
The following is a GGA-PBE calculation of a geometry-optimized Ga2IrRu structure, from the Materials Project database.

a b c (Å): 6.110 6.110 6.110
angles (deg): 90.00 90.00 90.00
Fractional positions:
Ga1 0.250 0.250 0.250
Ga2 0.250 0.250 0.750
Ga3 0.250 0.750 0.250
Ga4 0.250 0.750 0.750
Ga5 0.750 0.250 0.250
Ga6 0.750 0.250 0.750
Ga7 0.750 0.750 0.250
Ga8 0.750 0.750 0.750
Ir1 0.000 0.000 0.000
Ir2 0.000 0.500 0.500
Ir3 0.500 0.000 0.500
Ir4 0.500 0.500 0.000
Ru1 0.000 0.000 0.500
Ru2 0.000 0.500 0.000
Ru3 0.500 0.000 0.000
Ru4 0.500 0.500 0.500

Results
Its raw total energy is -6.46 eV per atom. The volume is 228.07 Å³/cell.

=====

2.
The following is a GGA-PBE calculation of a geometry-optimized Tb2Ga9Ir3 structure, from the Materials Project database.

a b c (Å): 7.603 7.603 9.516
angles (deg): 90.00 90.00 60.03
Fractional positions:
Tb1 0.003 0.668 0.750
Tb2 0.332 0.997 0.750
Tb3 0.668 0.003 0.250
Tb4 0.997 0.332 0.250
Ga1 0.001 0.334 0.580
Ga2 0.001 0.334 0.920
Ga3 0.127 0.873 0.250
Ga4 0.333 0.667 0.563
Ga5 0.333 0.667 0.937
Ga6 0.334 0.001 0.080
Ga7 0.334 0.001 0.420
Ga8 0.339 0.454 0.250
Ga9 0.454 0.339 0.750
Ga10 0.546 0.661 0.250
Ga11 0.661 0.546 0.750
Ga12 0.666 0.999 0.580
Ga13 0.666 0.999 0.920
Ga14 0.667 0.333 0.063
Ga15 0.667 0.333 0.437
Ga16 0.873 0.127 0.750
Ga17 0.999 0.666 0.080
Ga18 0.999 0.666 0.420
Ir1 0.000 0.000 0.000
Ir2 0.000 0.000 0.500
Ir3 0.329 0.329 0.000
Ir4 0.329 0.329 0.500
Ir5 0.671 0.671 0.000
Ir6 0.671 0.671 0.500

Results
Its raw total energy is -5.18 eV per atom. The volume is 476.56 Å³/cell.

=====

3.
The following is a GGA-PBE calculation of a geometry-optimized Tb3Ga8Ir3 structure, from the Materials Project database.

a b c (Å): 8.197 8.197 8.197
angles (deg): 150.10 105.53 82.26
Fractional positions:
Tb1 0.000 0.000 0.000
Tb2 0.328 0.328 0.000
Tb3 0.672 0.672 0.000
Ga1 0.038 0.667 0.371
Ga2 0.161 0.876 0.285
Ga3 0.296 0.667 0.629
Ga4 0.410 0.124 0.285
Ga5 0.590 0.876 0.715
Ga6 0.704 0.333 0.371
Ga7 0.839 0.124 0.715
Ga8 0.962 0.333 0.629
Ir1 0.283 0.500 0.783
Ir2 0.500 0.000 0.500
Ir3 0.717 0.500 0.217

Results
Its raw total energy is -5.28 eV per atom. The volume is 259.04 Å³/cell. Its magnetization is 0.0 μB per formula unit.